# 1
Computed, not measured: a geometry-optimized Na15Mg8Ta4P15S3O72 structure at the PBE level of DFT.

Geometry as POSCAR:
```
Na15Mg8Ta4P15S3O72
1.0
8.876 0.000 0.000
4.422 7.701 0.000
0.059 0.036 22.270
Na Mg Ta P S O
15 8 4 15 3 72
Direct
0.000 0.000 0.000
0.001 0.356 0.256
0.318 0.343 0.836
0.324 0.962 0.090
0.334 0.703 0.595
0.340 0.342 0.336
0.347 0.010 0.758
0.632 0.350 0.758
0.658 0.664 0.176
0.665 0.666 0.675
0.693 0.969 0.595
0.697 0.340 0.095
0.957 0.327 0.593
0.965 0.696 0.096
0.996 0.004 0.500
0.329 0.334 0.697
0.329 0.348 0.197
0.656 0.666 0.524
0.662 0.661 0.024
0.988 0.997 0.362
0.993 0.999 0.164
0.995 0.004 0.665
0.996 0.999 0.862
0.319 0.341 0.985
0.337 0.324 0.484
0.664 0.662 0.326
0.664 0.667 0.826
0.037 0.332 0.095
0.285 0.705 0.760
0.330 0.040 0.594
0.331 0.625 0.093
0.363 0.674 0.429
0.367 0.957 0.930
0.620 0.335 0.594
0.668 0.368 0.929
0.670 0.951 0.429
0.701 0.288 0.260
0.705 0.999 0.759
0.948 0.677 0.930
0.954 0.370 0.429
0.997 0.293 0.760
0.997 0.707 0.260
0.039 0.622 0.593
0.290 0.998 0.260
0.616 0.045 0.093
0.021 0.795 0.313
0.023 0.166 0.095
0.025 0.177 0.813
0.025 0.795 0.596
0.119 0.514 0.646
0.123 0.357 0.151
0.132 0.498 0.932
0.136 0.364 0.434
0.143 0.515 0.256
0.151 0.536 0.538
0.155 0.317 0.753
0.161 0.309 0.039
0.162 0.803 0.095
0.163 0.025 0.594
0.177 0.795 0.814
0.180 0.024 0.312
0.186 0.826 0.419
0.188 0.985 0.920
0.222 0.965 0.203
0.224 0.813 0.701
0.305 0.165 0.538
0.306 0.526 0.037
0.312 0.152 0.253
0.326 0.517 0.755
0.355 0.497 0.434
0.356 0.124 0.650
0.359 0.141 0.934
0.366 0.506 0.146
0.445 0.690 0.487
0.453 0.857 0.986
0.469 0.838 0.268
0.478 0.687 0.769
0.489 0.868 0.873
0.490 0.650 0.086
0.491 0.639 0.374
0.492 0.360 0.934
0.493 0.137 0.432
0.494 0.860 0.587
0.507 0.124 0.146
0.507 0.366 0.649
0.517 0.154 0.755
0.517 0.314 0.538
0.519 0.315 0.255
0.531 0.156 0.039
0.634 0.491 0.872
0.635 0.861 0.374
0.638 0.868 0.087
0.644 0.495 0.587
0.679 0.833 0.769
0.683 0.481 0.270
0.684 0.855 0.487
0.685 0.452 0.986
0.790 0.030 0.096
0.790 0.030 0.812
0.796 0.183 0.314
0.797 0.165 0.594
0.806 0.962 0.700
0.811 0.230 0.201
0.819 0.984 0.421
0.820 0.190 0.920
0.824 0.687 0.270
0.826 0.480 0.770
0.851 0.690 0.987
0.852 0.455 0.486
0.857 0.497 0.088
0.857 0.641 0.875
0.863 0.642 0.587
0.864 0.493 0.373
0.948 0.233 0.701
0.961 0.806 0.200
0.979 0.825 0.920
0.983 0.191 0.419
```

## Properties
Energy (eV/f.u.): -804.123
Mass density (g/cm³): 3.25
Space-group type: No. 1
ΔH_f (0 K) (eV per atom): -2.766

***

# 2
Computed, not measured: a geometry-optimized IrN2 structure at the PBE level of DFT.

Geometry as POSCAR:
```
IrN2
1.0
4.856 0.000 0.000
0.000 4.856 0.000
0.000 0.000 4.856
Ir N
4 8
Direct
0.000 0.000 0.000
0.000 0.500 0.500
0.500 0.000 0.500
0.500 0.500 0.000
0.082 0.582 0.918
0.082 0.918 0.418
0.418 0.082 0.918
0.418 0.418 0.418
0.582 0.582 0.582
0.582 0.918 0.082
0.918 0.082 0.582
0.918 0.418 0.082
```

## Properties
Energy (eV/f.u.): -23.861
Mass density (g/cm³): 12.78
Space-group type: No. 205
ΔH_f (0 K) (eV per atom): 0.309

***

# 3
Computed, not measured: a geometry-optimized NdLuTl2 structure at the PBE level of DFT.

Geometry as POSCAR:
```
NdLuTl2
1.0
0.000 3.831 3.831
3.831 0.000 3.831
3.831 3.831 0.000
Nd Lu Tl
1 1 2
Direct
0.000 0.000 0.000
0.500 0.500 0.500
0.250 0.250 0.250
0.750 0.750 0.750
```

## Properties
Energy (eV/f.u.): -15.291
Mass density (g/cm³): 10.75
Space-group type: No. 225
ΔH_f (0 K) (eV per atom): -0.319

***

# 4
Computed, not measured: a geometry-optimized Ta2NbRh structure at the PBE level of DFT.

Geometry as POSCAR:
```
Ta2NbRh
1.0
0.000 3.242 3.242
3.242 0.000 3.242
3.242 3.242 0.000
Ta Nb Rh
2 1 1
Direct
0.250 0.250 0.250
0.750 0.750 0.750
0.000 0.000 0.000
0.500 0.500 0.500
```

## Properties
Energy (eV/f.u.): -42.222
Mass density (g/cm³): 13.59
Space-group type: No. 225
ΔH_f (0 K) (eV per atom): -0.260

***

# 5
Computed, not measured: a geometry-optimized Ta3MnN6 structure at the PBE level of DFT.

Geometry as POSCAR:
```
Ta3MnN6
1.0
5.001 0.000 0.000
0.000 7.586 0.000
-0.069 0.000 5.506
Ta Mn N
6 2 12
Direct
0.000 0.000 0.000
0.000 0.500 0.000
0.050 0.250 0.571
0.478 0.250 0.093
0.522 0.750 0.907
0.950 0.750 0.429
0.500 0.000 0.500
0.500 0.500 0.500
0.158 0.750 0.074
0.189 0.080 0.316
0.189 0.420 0.316
0.329 0.750 0.565
0.330 0.076 0.811
0.330 0.424 0.811
0.670 0.576 0.189
0.670 0.924 0.189
0.671 0.250 0.435
0.811 0.580 0.684
0.811 0.920 0.684
0.842 0.250 0.926
```

## Properties
Energy (eV/f.u.): -101.824
Mass density (g/cm³): 10.84
Space-group type: No. 11
ΔH_f (0 K) (eV per atom): -0.924

***

# 6
Computed, not measured: a geometry-optimized KPbI3 structure at the PBE level of DFT.

Geometry as POSCAR:
```
KPbI3
1.0
10.567 0.000 0.000
0.000 4.782 0.000
0.000 0.000 17.458
K Pb I
4 4 12
Direct
0.067 0.250 0.176
0.433 0.750 0.676
0.567 0.250 0.324
0.933 0.750 0.824
0.167 0.750 0.441
0.333 0.250 0.941
0.667 0.750 0.059
0.833 0.250 0.559
0.025 0.750 0.613
0.156 0.750 0.009
0.205 0.250 0.781
0.295 0.750 0.281
0.344 0.250 0.509
0.475 0.250 0.113
0.525 0.750 0.887
0.656 0.750 0.491
0.705 0.250 0.719
0.795 0.750 0.219
0.844 0.250 0.991
0.975 0.250 0.387
```

## Properties
Energy (eV/f.u.): -14.313
Mass density (g/cm³): 4.72
Space-group type: No. 62
ΔH_f (0 K) (eV per atom): -1.211

***

# 7
Computed, not measured: a geometry-optimized Cs2InAuI6 structure at the PBE level of DFT.

Geometry as POSCAR:
```
Cs2InAuI6
1.0
0.000 5.993 5.993
5.993 0.000 5.993
5.993 5.993 0.000
Cs In Au I
2 1 1 6
Direct
0.250 0.250 0.250
0.750 0.750 0.750
0.000 0.000 0.000
0.500 0.500 0.500
0.252 0.252 0.748
0.252 0.748 0.252
0.252 0.748 0.748
0.748 0.252 0.252
0.748 0.252 0.748
0.748 0.748 0.252
```

## Properties
Energy (eV/f.u.): -24.959
Mass density (g/cm³): 5.17
Space-group type: No. 225
ΔH_f (0 K) (eV per atom): -1.027

***

# 8
Computed, not measured: a geometry-optimized Tl2TeO6 structure at the PBE level of DFT.

Geometry as POSCAR:
```
Tl2TeO6
1.0
9.284 0.000 0.000
-4.642 8.040 0.000
0.000 0.000 5.091
Tl Te O
6 3 18
Direct
0.000 0.288 0.000
0.000 0.626 0.500
0.288 0.000 0.000
0.374 0.374 0.500
0.626 0.000 0.500
0.712 0.712 0.000
0.000 0.000 0.500
0.333 0.667 0.015
0.667 0.333 0.985
0.080 0.880 0.284
0.120 0.200 0.284
0.135 0.538 0.235
0.200 0.120 0.716
0.223 0.757 0.796
0.243 0.466 0.796
0.403 0.865 0.235
0.462 0.597 0.235
0.466 0.243 0.204
0.534 0.777 0.796
0.538 0.135 0.765
0.597 0.462 0.765
0.757 0.223 0.204
0.777 0.534 0.204
0.800 0.920 0.284
0.865 0.403 0.765
0.880 0.080 0.716
0.920 0.800 0.716
```

## Properties
Energy (eV/f.u.): -45.058
Mass density (g/cm³): 8.29
Space-group type: No. 150
ΔH_f (0 K) (eV per atom): -1.291

***

# 9
Computed, not measured: a geometry-optimized ReN2 structure at the PBE level of DFT.

Geometry as POSCAR:
```
ReN2
1.0
-1.406 1.877 6.509
1.406 -1.877 6.509
1.406 1.877 -6.509
Re N
2 4
Direct
0.159 0.159 0.000
0.841 0.841 0.000
0.049 0.549 0.500
0.292 0.792 0.500
0.708 0.208 0.500
0.951 0.451 0.500
```

## Properties
Energy (eV/f.u.): -28.305
Mass density (g/cm³): 10.36
Space-group type: No. 71
ΔH_f (0 K) (eV per atom): 0.030

***

# 10
Computed, not measured: a geometry-optimized MgZn2Co4S8 structure at the PBE level of DFT.

Geometry as POSCAR:
```
MgZn2Co4S8
1.0
5.968 -3.561 0.000
5.968 3.561 0.000
-5.572 0.000 5.956
Mg Zn Co S
1 2 4 8
Direct
0.000 0.000 0.000
0.326 0.326 0.017
0.671 0.671 0.362
0.242 0.755 0.486
0.352 0.352 0.632
0.644 0.644 0.923
0.755 0.242 0.486
0.168 0.168 0.638
0.251 0.746 0.205
0.253 0.743 0.760
0.323 0.323 0.321
0.674 0.674 0.672
0.743 0.253 0.760
0.746 0.251 0.205
0.828 0.828 0.297
```

## Properties
Energy (eV/f.u.): -71.969
Mass density (g/cm³): 4.25
Space-group type: No. 8
ΔH_f (0 K) (eV per atom): -0.690
Energy above the most stable polymorph in this dataset (eV per formula unit): 0.231

***

# 11
Computed, not measured: a geometry-optimized K4Zr6FeBr18 structure at the PBE level of DFT.

Geometry as POSCAR:
```
K4Zr6FeBr18
1.0
10.662 0.000 0.000
-2.567 10.490 0.000
-1.900 -5.828 9.022
K Zr Fe Br
4 6 1 18
Direct
0.154 0.039 0.228
0.187 0.724 0.563
0.813 0.276 0.437
0.846 0.961 0.772
0.348 0.443 0.766
0.352 0.257 0.954
0.359 0.628 0.135
0.641 0.372 0.865
0.648 0.743 0.046
0.652 0.557 0.234
0.500 0.500 0.000
0.167 0.379 0.496
0.172 0.167 0.689
0.178 0.976 0.900
0.180 0.577 0.890
0.184 0.373 0.097
0.201 0.776 0.289
0.486 0.296 0.593
0.493 0.091 0.803
0.496 0.704 0.791
0.504 0.296 0.209
0.507 0.909 0.197
0.514 0.704 0.407
0.799 0.224 0.711
0.816 0.627 0.903
0.820 0.423 0.110
0.822 0.024 0.100
0.828 0.833 0.311
0.833 0.621 0.504
```

## Properties
Energy (eV/f.u.): -136.582
Mass density (g/cm³): 3.62
Space-group type: No. 2
ΔH_f (0 K) (eV per atom): -1.811
Energy above the most stable polymorph in this dataset (eV per formula unit): 0.000

***

# 12
Computed, not measured: a geometry-optimized CsMgPH12O10 structure at the PBE level of DFT.

Geometry as POSCAR:
```
CsMgPH12O10
1.0
0.000 5.068 5.068
5.068 0.000 5.068
5.068 5.068 0.000
Cs Mg P H O
1 1 1 12 10
Direct
0.000 0.000 0.000
0.750 0.750 0.750
0.500 0.500 0.500
0.127 0.489 0.489
0.127 0.489 0.895
0.127 0.895 0.489
0.489 0.127 0.489
0.489 0.127 0.895
0.489 0.489 0.127
0.489 0.489 0.895
0.489 0.895 0.127
0.489 0.895 0.489
0.895 0.127 0.489
0.895 0.489 0.127
0.895 0.489 0.489
0.411 0.411 0.411
0.411 0.411 0.767
0.411 0.767 0.411
0.544 0.544 0.956
0.544 0.956 0.544
0.544 0.956 0.956
0.767 0.411 0.411
0.956 0.544 0.544
0.956 0.544 0.956
0.956 0.956 0.544
```

## Properties
Energy (eV/f.u.): -134.749
Mass density (g/cm³): 2.30
Space-group type: No. 216
ΔH_f (0 K) (eV per atom): -1.741